PrZn3P3: optimized geometry, r2SCAN.

abc: 4.030 4.030 20.095
angles: 90.00 90.00 120.00
Positions (direct):
Pr (0.000, 0.000, 0.500)
Pr (0.000, 0.000, 0.000)
Zn (0.333, 0.667, 0.750)
Zn (0.667, 0.333, 0.250)
Zn (0.667, 0.333, 0.631)
Zn (0.333, 0.667, 0.131)
Zn (0.333, 0.667, 0.369)
Zn (0.667, 0.333, 0.869)
P (0.667, 0.333, 0.750)
P (0.333, 0.667, 0.250)
P (0.667, 0.333, 0.089)
P (0.333, 0.667, 0.589)
P (0.333, 0.667, 0.911)
P (0.667, 0.333, 0.411)

Summary:
Formation energy from the elements = -0.70 eV per atom
M_tot = 0.00 Bohr magnetons per cell

---

Li3Ca: optimized geometry, r2SCAN.

abc: 5.327 5.327 5.327
angles: 60.00 60.00 60.00
Positions (direct):
Li (0.750, 0.750, 0.750)
Li (0.250, 0.250, 0.250)
Li (0.000, 0.000, 0.000)
Ca (0.500, 0.500, 0.500)

Summary:
Formation energy from the elements = 0.05 eV per atom
M_tot = 0.00 Bohr magnetons per cell

---

KIrO3: optimized geometry, r2SCAN.

abc: 9.487 9.487 9.487
angles: 90.00 90.00 90.00
Positions (direct):
K (0.345, 0.345, 0.345)
K (0.845, 0.155, 0.845)
K (0.655, 0.655, 0.345)
K (0.845, 0.845, 0.155)
K (0.155, 0.155, 0.155)
K (0.345, 0.655, 0.655)
K (0.250, 0.250, 0.750)
K (0.655, 0.345, 0.655)
K (0.750, 0.750, 0.750)
K (0.155, 0.845, 0.845)
K (0.750, 0.250, 0.250)
K (0.250, 0.750, 0.250)
Ir (0.000, 0.342, 0.500)
Ir (0.500, 0.842, 0.000)
Ir (0.842, 0.000, 0.500)
Ir (0.000, 0.500, 0.158)
Ir (0.000, 0.500, 0.842)
Ir (0.500, 0.000, 0.342)
Ir (0.000, 0.658, 0.500)
Ir (0.500, 0.000, 0.658)
Ir (0.342, 0.500, 0.000)
Ir (0.158, 0.000, 0.500)
Ir (0.658, 0.500, 0.000)
Ir (0.500, 0.158, 0.000)
O (0.996, 0.653, 0.296)
O (0.504, 0.153, 0.796)
O (0.296, 0.004, 0.347)
O (0.847, 0.204, 0.504)
O (0.139, 0.500, 0.500)
O (0.496, 0.847, 0.796)
O (0.500, 0.500, 0.861)
O (0.500, 0.500, 0.139)
O (0.504, 0.847, 0.204)
O (0.204, 0.504, 0.847)
O (0.004, 0.347, 0.296)
O (0.496, 0.153, 0.204)
O (0.796, 0.496, 0.847)
O (0.653, 0.704, 0.004)
O (0.704, 0.996, 0.347)
O (0.153, 0.204, 0.496)
O (0.704, 0.004, 0.653)
O (0.796, 0.504, 0.153)
O (0.500, 0.139, 0.500)
O (0.361, 0.000, 0.000)
O (0.000, 0.000, 0.361)
O (0.500, 0.861, 0.500)
O (0.996, 0.347, 0.704)
O (0.000, 0.361, 0.000)
O (0.000, 0.000, 0.639)
O (0.847, 0.796, 0.496)
O (0.347, 0.704, 0.996)
O (0.153, 0.796, 0.504)
O (0.204, 0.496, 0.153)
O (0.000, 0.639, 0.000)
O (0.347, 0.296, 0.004)
O (0.861, 0.500, 0.500)
O (0.653, 0.296, 0.996)
O (0.296, 0.996, 0.653)
O (0.004, 0.653, 0.704)
O (0.639, 0.000, 0.000)

Summary:
Formation energy from the elements = -1.20 eV per atom
M_tot = 0.00 Bohr magnetons per cell

---

EuSi2Pd2: optimized geometry, r2SCAN.

abc: 4.237 4.237 5.809
angles: 111.39 111.39 90.00
Positions (direct):
Eu (0.000, 0.000, 0.000)
Si (0.622, 0.622, 0.243)
Si (0.378, 0.378, 0.757)
Pd (0.750, 0.250, 0.500)
Pd (0.250, 0.750, 0.500)

Summary:
Formation energy from the elements = -0.84 eV per atom
M_tot = 7.00 Bohr magnetons per cell